Entry 1:
HoSeO3F, relaxed, DFT PBE; formation energy from the elements = -2.82 eV/atom; size of the total moment = 0.00 μB/f.u.; E (MP2020) = -6.9580 eV per atom; theoretical density = 6.2 g/cm³; SG = No. 14
1.0
-2.780 -4.404 4.624
5.754 -3.298 0.317
3.079 3.721 5.395
Ho O F Se
4 12 4 4
Direct
0.860 0.860 0.824 Ho
0.140 0.140 0.176 Ho
0.640 0.860 0.324 Ho
0.360 0.140 0.676 Ho
0.686 0.515 0.360 O
0.694 0.174 0.720 O
0.532 0.827 0.648 O
0.194 0.826 0.780 O
0.186 0.485 0.140 O
0.968 0.827 0.148 O
0.314 0.485 0.640 O
0.306 0.826 0.280 O
0.032 0.173 0.852 O
0.814 0.515 0.860 O
0.806 0.174 0.220 O
0.468 0.173 0.352 O
0.119 0.168 0.475 F
0.619 0.832 0.025 F
0.881 0.832 0.525 F
0.381 0.168 0.975 F
0.381 0.649 0.789 Se
0.119 0.649 0.289 Se
0.619 0.351 0.211 Se
0.881 0.351 0.711 Se

---

Entry 2:
Cd2SiP4O14, relaxed, DFT PBE; formation energy from the elements = -2.56 eV/atom; size of the total moment = 0.00 μB/f.u.; E (MP2020) = -7.2392 eV per atom; polymorph energy (0 for the lowest one) = 0.0 meV per atom; theoretical density = 3.5 g/cm³; SG = No. 15
1.0
2.631 8.745 0.000
-2.631 8.745 0.000
0.000 2.912 12.351
O Cd Si P
28 4 2 8
Direct
0.013 0.614 0.697 O
0.123 0.699 0.514 O
0.573 0.722 0.130 O
0.699 0.123 0.014 O
0.721 0.363 0.324 O
0.896 0.978 0.830 O
0.022 0.104 0.670 O
0.614 0.013 0.197 O
0.279 0.637 0.676 O
0.278 0.427 0.370 O
0.501 0.763 0.385 O
0.104 0.022 0.170 O
0.987 0.386 0.303 O
0.499 0.237 0.615 O
0.210 0.187 0.549 O
0.813 0.790 0.951 O
0.978 0.896 0.330 O
0.301 0.877 0.986 O
0.790 0.813 0.451 O
0.187 0.210 0.049 O
0.877 0.301 0.486 O
0.763 0.501 0.885 O
0.363 0.721 0.824 O
0.386 0.987 0.803 O
0.237 0.499 0.115 O
0.637 0.279 0.176 O
0.722 0.573 0.630 O
0.427 0.278 0.870 O
0.089 0.400 0.868 Cd
0.600 0.911 0.632 Cd
0.400 0.089 0.368 Cd
0.911 0.600 0.132 Cd
0.861 0.139 0.250 Si
0.139 0.861 0.750 Si
0.696 0.042 0.914 P
0.529 0.235 0.130 P
0.042 0.696 0.414 P
0.304 0.958 0.086 P
0.235 0.529 0.630 P
0.765 0.471 0.370 P
0.471 0.765 0.870 P
0.958 0.304 0.586 P

---

Entry 3:
SbCN2OF3, relaxed, DFT PBE; formation energy from the elements = -1.14 eV/atom; size of the total moment = 0.01 μB/f.u.; E (MP2020) = -6.2320 eV per atom; theoretical density = 2.6 g/cm³; SG = No. 29
1.0
8.312 0.000 0.000
0.000 9.660 0.000
0.000 0.000 7.526
N F Sb C O
8 12 4 4 4
Direct
0.131 0.597 0.171 N
0.548 0.400 0.020 N
0.369 0.597 0.671 N
0.631 0.403 0.171 N
0.452 0.600 0.520 N
0.952 0.400 0.520 N
0.869 0.403 0.671 N
0.048 0.600 0.020 N
0.368 0.304 0.483 F
0.633 0.143 0.569 F
0.132 0.304 0.983 F
0.632 0.696 0.983 F
0.144 0.122 0.269 F
0.133 0.857 0.569 F
0.867 0.143 0.069 F
0.856 0.878 0.769 F
0.356 0.122 0.769 F
0.644 0.878 0.269 F
0.367 0.857 0.069 F
0.868 0.696 0.483 F
0.406 0.108 0.513 Sb
0.594 0.892 0.013 Sb
0.906 0.892 0.513 Sb
0.094 0.108 0.013 Sb
0.545 0.285 0.129 C
0.045 0.715 0.129 C
0.455 0.715 0.629 C
0.955 0.285 0.629 C
0.001 0.831 0.163 O
0.999 0.169 0.663 O
0.499 0.831 0.663 O
0.501 0.169 0.163 O

---

Entry 4:
NaLiB2H10N2, relaxed, DFT PBE; formation energy from the elements = -0.43 eV/atom; size of the total moment = 0.00 μB/f.u.; E (MP2020) = -4.6261 eV per atom; polymorph energy (0 for the lowest one) = 0.0 meV per atom; theoretical density = 1.0 g/cm³; SG = No. 2
1.0
-4.815 -1.802 -0.807
4.210 -5.484 -1.794
0.535 0.248 8.744
H Li N Na B
20 2 4 2 4
Direct
0.377 0.904 0.812 H
0.360 0.582 0.104 H
0.242 0.357 0.378 H
0.699 0.134 0.674 H
0.165 0.661 0.863 H
0.725 0.749 0.271 H
0.301 0.866 0.326 H
0.057 0.176 0.427 H
0.943 0.824 0.573 H
0.640 0.418 0.896 H
0.623 0.096 0.188 H
0.516 0.486 0.290 H
0.758 0.643 0.622 H
0.579 0.214 0.524 H
0.046 0.907 0.894 H
0.954 0.093 0.106 H
0.484 0.514 0.710 H
0.835 0.339 0.137 H
0.275 0.251 0.729 H
0.421 0.786 0.476 H
0.948 0.562 0.368 Li
0.052 0.438 0.632 Li
0.955 0.709 0.622 N
0.680 0.263 0.647 N
0.320 0.737 0.353 N
0.045 0.291 0.378 N
0.660 0.767 0.986 Na
0.340 0.233 0.014 Na
0.856 0.200 0.196 B
0.488 0.638 0.252 B
0.512 0.362 0.748 B
0.144 0.800 0.804 B

---

Entry 5:
HgP2Se, relaxed, DFT PBE; formation energy from the elements = 0.63 eV/atom; size of the total moment = 0.00 μB/f.u.; E (MP2020) = -3.0235 eV per atom; theoretical density = 7.4 g/cm³; SG = No. 216
1.0
-0.298 -3.903 -2.708
-1.032 -4.201 1.986
-4.232 -2.031 -0.791
P Se Hg
2 1 1
Direct
0.000 0.000 0.000 P
0.250 0.250 0.250 P
0.750 0.750 0.750 Se
0.500 0.500 0.500 Hg

---

Entry 6:
FeH12C2N2Cl4, relaxed, DFT PBE; formation energy from the elements = -0.57 eV/atom; size of the total moment = 4.00 μB/f.u.; E (MP2020) = -4.9376 eV per atom; polymorph energy (0 for the lowest one) = 5.2 meV per atom; theoretical density = 1.7 g/cm³; SG = No. 56
1.0
-3.433 6.422 -0.252
-6.278 -3.292 1.650
3.576 2.653 18.899
H Cl C N Fe
48 16 8 8 4
Direct
0.339 0.522 0.300 H
0.015 0.853 0.401 H
0.926 0.927 0.582 H
0.921 0.942 0.283 H
0.146 0.516 0.099 H
0.079 0.442 0.217 H
0.515 0.353 0.599 H
0.854 0.016 0.401 H
0.074 0.073 0.418 H
0.354 0.984 0.099 H
0.496 0.331 0.303 H
0.354 0.516 0.599 H
0.004 0.331 0.803 H
0.004 0.169 0.303 H
0.015 0.647 0.901 H
0.579 0.942 0.783 H
0.921 0.558 0.783 H
0.926 0.573 0.082 H
0.504 0.669 0.697 H
0.996 0.669 0.197 H
0.646 0.484 0.401 H
0.504 0.831 0.197 H
0.985 0.353 0.099 H
0.146 0.984 0.599 H
0.426 0.073 0.918 H
0.074 0.427 0.918 H
0.161 0.522 0.800 H
0.839 0.478 0.200 H
0.839 0.022 0.700 H
0.485 0.647 0.401 H
0.485 0.853 0.901 H
0.515 0.147 0.099 H
0.574 0.573 0.582 H
0.161 0.978 0.300 H
0.426 0.427 0.418 H
0.854 0.484 0.901 H
0.496 0.169 0.803 H
0.079 0.058 0.717 H
0.996 0.831 0.697 H
0.985 0.147 0.599 H
0.661 0.478 0.700 H
0.579 0.558 0.283 H
0.421 0.442 0.717 H
0.646 0.016 0.901 H
0.421 0.058 0.217 H
0.574 0.927 0.082 H
0.339 0.978 0.800 H
0.661 0.022 0.200 H
0.032 0.032 0.122 Cl
0.532 0.532 0.878 Cl
0.750 0.250 0.500 Cl
0.750 0.750 0.521 Cl
0.250 0.250 0.479 Cl
0.250 0.750 0.500 Cl
0.750 0.750 0.021 Cl
0.468 0.468 0.122 Cl
0.750 0.250 0.000 Cl
0.250 0.750 0.000 Cl
0.532 0.968 0.378 Cl
0.468 0.032 0.622 Cl
0.250 0.250 0.979 Cl
0.032 0.468 0.622 Cl
0.968 0.968 0.878 Cl
0.968 0.532 0.378 Cl
0.979 0.978 0.687 C
0.979 0.522 0.187 C
0.021 0.022 0.313 C
0.479 0.478 0.313 C
0.521 0.522 0.687 C
0.021 0.478 0.813 C
0.479 0.022 0.813 C
0.521 0.978 0.187 C
0.989 0.989 0.388 N
0.489 0.489 0.612 N
0.989 0.511 0.888 N
0.489 0.011 0.112 N
0.011 0.011 0.612 N
0.511 0.989 0.888 N
0.511 0.511 0.388 N
0.011 0.489 0.112 N
0.000 0.500 0.500 Fe
0.500 0.500 0.000 Fe
0.000 0.000 0.000 Fe
0.500 0.000 0.500 Fe

---

Entry 7:
NaMg14BO15, relaxed, DFT PBE; formation energy from the elements = -2.74 eV/atom; size of the total moment = 0.00 μB/f.u.; E (MP2020) = -6.1156 eV per atom; polymorph energy (0 for the lowest one) = 0.0 meV per atom; theoretical density = 3.2 g/cm³; SG = No. 25
1.0
-5.679 5.818 2.925
-5.527 -6.102 1.405
1.570 -0.494 4.029
Mg O B Na
14 15 1 1
Direct
0.503 0.500 0.000 Mg
0.245 0.000 0.500 Mg
0.501 0.751 0.500 Mg
0.000 0.261 0.500 Mg
0.242 0.500 0.500 Mg
0.254 0.265 0.000 Mg
0.756 0.000 0.500 Mg
0.748 0.757 0.000 Mg
0.254 0.735 0.000 Mg
0.000 0.739 0.500 Mg
0.501 0.249 0.500 Mg
0.748 0.243 0.000 Mg
0.754 0.500 0.500 Mg
0.500 0.000 0.000 Mg
0.276 0.500 0.000 O
0.993 0.331 0.000 O
0.993 0.669 0.000 O
0.500 0.000 0.500 O
0.514 0.500 0.500 O
0.754 0.751 0.500 O
0.769 0.500 0.000 O
0.247 0.254 0.500 O
0.247 0.746 0.500 O
0.743 0.000 0.000 O
0.508 0.748 0.000 O
0.000 0.000 0.500 O
0.754 0.249 0.500 O
0.508 0.252 0.000 O
0.990 0.500 0.500 O
0.942 0.500 0.000 B
0.007 0.000 0.000 Na

---

Entry 8:
Na2ZrSi6O18, relaxed, DFT PBE; formation energy from the elements = -2.42 eV/atom; size of the total moment = 0.00 μB/f.u.; polymorph energy (0 for the lowest one) = 2.5 meV per atom; theoretical density = 2.5 g/cm³; SG = No. 28
1.0
7.280 0.000 0.000
0.000 7.442 0.000
0.000 0.000 14.617
O Si Na Zr
36 12 4 2
Direct
0.454 0.210 0.675 O
0.504 0.311 0.129 O
0.498 0.712 0.250 O
0.504 0.311 0.371 O
0.790 0.116 0.079 O
0.213 0.121 0.079 O
0.504 0.689 0.629 O
0.790 0.884 0.921 O
0.454 0.790 0.325 O
0.236 0.760 0.750 O
0.504 0.689 0.871 O
0.768 0.780 0.750 O
0.790 0.116 0.421 O
0.454 0.210 0.825 O
0.824 0.530 0.620 O
0.996 0.785 0.091 O
0.824 0.530 0.880 O
0.824 0.470 0.380 O
0.189 0.478 0.114 O
0.996 0.785 0.409 O
0.454 0.790 0.175 O
0.790 0.884 0.579 O
0.189 0.522 0.886 O
0.213 0.879 0.921 O
0.189 0.478 0.386 O
0.213 0.121 0.421 O
0.013 0.642 0.250 O
0.768 0.220 0.250 O
0.236 0.240 0.250 O
0.996 0.215 0.909 O
0.189 0.522 0.614 O
0.996 0.215 0.591 O
0.498 0.288 0.750 O
0.013 0.358 0.750 O
0.213 0.879 0.579 O
0.824 0.470 0.120 O
0.005 0.593 0.360 Si
0.283 0.286 0.359 Si
0.723 0.721 0.857 Si
0.723 0.721 0.643 Si
0.723 0.279 0.143 Si
0.005 0.593 0.140 Si
0.283 0.286 0.141 Si
0.005 0.407 0.640 Si
0.723 0.279 0.357 Si
0.283 0.714 0.859 Si
0.283 0.714 0.641 Si
0.005 0.407 0.860 Si
0.500 0.000 0.500 Na
0.004 0.030 0.750 Na
0.004 0.970 0.250 Na
0.500 0.000 0.000 Na
0.003 0.000 0.500 Zr
0.003 0.000 0.000 Zr

---

Entry 9:
V3PN, relaxed, DFT PBE; formation energy from the elements = -1.02 eV/atom; E (MP2020) = -9.2203 eV per atom; theoretical density = 5.9 g/cm³; SG = No. 63
1.0
-0.270 -1.527 -4.840
-0.021 -1.577 4.832
-7.355 0.688 0.193
V N P
6 2 2
Direct
0.634 0.366 0.449 V
0.366 0.634 0.949 V
0.066 0.934 0.750 V
0.366 0.634 0.551 V
0.934 0.066 0.250 V
0.634 0.366 0.051 V
0.000 0.000 0.500 N
0.000 0.000 0.000 N
0.748 0.252 0.750 P
0.252 0.748 0.250 P

---

Entry 10:
LiZnSb4O8, relaxed, DFT PBE; formation energy from the elements = -1.71 eV/atom; size of the total moment = 0.00 μB/f.u.; E (MP2020) = -5.9440 eV per atom; polymorph energy (0 for the lowest one) = 0.0 meV per atom; theoretical density = 5.5 g/cm³; SG = No. 1
1.0
0.003 1.477 3.081
2.588 -4.329 5.051
10.103 1.312 3.425
Sb O Zn Li
4 8 1 1
Direct
0.092 0.732 0.127 Sb
0.448 0.801 0.567 Sb
0.557 0.322 0.444 Sb
0.846 0.354 0.905 Sb
0.106 0.435 0.012 O
0.186 0.394 0.297 O
0.821 0.066 0.115 O
0.463 0.227 0.831 O
0.886 0.036 0.411 O
0.475 0.724 0.244 O
0.182 0.067 0.613 O
0.834 0.699 0.721 O
0.187 0.129 0.201 Zn
0.628 0.005 0.751 Li

---

Entry 11:
Dy2Co3Ge5, relaxed, DFT PBE; formation energy from the elements = -0.59 eV/atom; theoretical density = 8.8 g/cm³; SG = No. 15
1.0
-4.755 6.317 -1.670
-4.590 -2.509 6.160
0.297 3.794 4.270
Ge Co Dy
10 6 4
Direct
0.921 0.738 0.173 Ge
0.787 0.213 0.250 Ge
0.774 0.226 0.750 Ge
0.226 0.774 0.250 Ge
0.213 0.787 0.750 Ge
0.509 0.491 0.750 Ge
0.079 0.262 0.827 Ge
0.262 0.079 0.327 Ge
0.491 0.509 0.250 Ge
0.738 0.921 0.673 Ge
0.262 0.543 0.620 Co
0.457 0.738 0.880 Co
0.543 0.262 0.120 Co
0.003 0.997 0.750 Co
0.997 0.003 0.250 Co
0.738 0.457 0.380 Co
0.872 0.592 0.767 Dy
0.128 0.408 0.233 Dy
0.592 0.872 0.267 Dy
0.408 0.128 0.733 Dy